(1)
## Ho5Ge2Sb2 (PBE)

Data for an optimized crystal structure of Ho5Ge2Sb2.

Calculated values
As for the symmetry: Cmce, No. 64.

abc: 8.510 8.510 7.912
angles: 90.00 90.00 124.83
Fractional positions:
Ho (0.037, 0.293, 0.336)
Ho (0.963, 0.707, 0.664)
Ho (0.463, 0.207, 0.836)
Ho (0.793, 0.537, 0.164)
Ho (0.537, 0.793, 0.164)
Ho (0.207, 0.463, 0.836)
Ho (0.707, 0.963, 0.664)
Ho (0.293, 0.037, 0.336)
Ho (0.000, 0.000, 0.000)
Ho (0.500, 0.500, 0.500)
Ge (0.361, 0.361, 0.137)
Ge (0.639, 0.639, 0.863)
Ge (0.139, 0.139, 0.637)
Ge (0.861, 0.861, 0.363)
Sb (0.795, 0.205, 0.000)
Sb (0.205, 0.795, 0.000)
Sb (0.705, 0.295, 0.500)
Sb (0.295, 0.705, 0.500)


(2)
## LiAg2F4 (PBE)

Data for an optimized crystal structure of LiAg2F4.

Calculated values
The value obtained for the magnetization is 2.0 μB per cell. As for the symmetry: Fddd, No. 70. The energy above the lowest structure with this stoichiometry is 0.000 eV per atom.

abc: 8.083 6.975 6.069
angles: 76.23 56.94 46.82
Fractional positions:
Li (0.250, 0.250, 0.250)
Li (0.000, 0.000, 0.000)
Ag (0.906, 0.594, 0.906)
Ag (0.594, 0.906, 0.594)
Ag (0.656, 0.344, 0.656)
Ag (0.344, 0.656, 0.344)
F (0.265, 0.390, 0.463)
F (0.390, 0.265, 0.882)
F (0.787, 0.368, 0.985)
F (0.368, 0.787, 0.860)
F (0.882, 0.463, 0.390)
F (0.463, 0.882, 0.265)
F (0.860, 0.985, 0.368)
F (0.985, 0.860, 0.787)


So what do the calculations give for ΔH_f (0 K)? Going down the list: -9.0, -12.9 eV/f.u..
So what do the calculations give for uncorrected energy? Going down the list: -98.12, -52.58 eV per cell.